VASP calculation (PBE with a Hubbard U) on Ba8Mn8O21 after structural relaxation.

Cell and atoms, written as CIF:
```
data_Ba8Mn8O21
_cell_length_a 5.792
_cell_length_b 9.575
_cell_length_c 10.076
_cell_angle_alpha 90.00
_cell_angle_beta 90.36
_cell_angle_gamma 90.00
_symmetry_space_group_name_H-M 'P 1 m 1'
_symmetry_Int_Tables_number 6
loop_
_symmetry_equiv_pos_as_xyz
'x,y,z'
'x,-y,z'
loop_
_atom_site_label
_atom_site_fract_x
_atom_site_fract_y
_atom_site_fract_z
Ba1 0.000 0.000 0.000
Ba2 0.001 0.259 0.334
Ba3 0.483 0.000 0.506
Ba4 0.500 0.500 0.174
Ba5 0.501 0.221 0.843
Ba6 0.986 0.500 0.668
Mn1 0.475 0.141 0.165
Mn2 0.496 0.352 0.500
Mn3 0.973 0.356 0.003
Mn4 0.996 0.139 0.670
O1 0.004 0.254 0.832
O2 0.216 0.000 0.742
O3 0.245 0.271 0.073
O4 0.246 0.255 0.595
O5 0.258 0.000 0.243
O6 0.279 0.500 0.447
O7 0.496 0.000 0.021
O8 0.508 0.234 0.334
O9 0.715 0.500 0.450
O10 0.744 0.254 0.597
O11 0.747 0.230 0.099
O12 0.759 0.500 0.921
O13 0.780 0.000 0.744
O14 0.990 0.000 0.524
O15 0.999 0.500 0.144
```

Output
* MP2020-corrected energy: -284.8 eV per cell
* density: 5.569 g/cm3
* formation enthalpy at 0 K: -241 kJ per mole of atoms

VASP calculation (PBE with a Hubbard U) on Ba2MnO3 after structural relaxation.

Cell and atoms, written as CIF:
```
data_Ba2MnO3
_cell_length_a 6.059
_cell_length_b 11.715
_cell_length_c 12.828
_cell_angle_alpha 90.00
_cell_angle_beta 93.42
_cell_angle_gamma 90.00
_symmetry_space_group_name_H-M 'C 1 2/c 1'
_symmetry_Int_Tables_number 15
loop_
_symmetry_equiv_pos_as_xyz
'x,y,z'
'-x,-y,-z'
'-x,y,-z+1/2'
'x,-y,z+1/2'
'x+1/2,y+1/2,z'
'-x+1/2,-y+1/2,-z'
'-x+1/2,y+1/2,-z+1/2'
'x+1/2,-y+1/2,z+1/2'
loop_
_atom_site_label
_atom_site_fract_x
_atom_site_fract_y
_atom_site_fract_z
Ba1 0.235 0.105 0.425
Ba2 0.235 0.206 0.850
Mn1 0.226 0.496 0.336
O1 0.000 0.008 0.750
O2 0.000 0.399 0.750
O3 0.171 0.325 0.370
O4 0.217 0.100 0.033
```

Output
* MP2020-corrected energy: -345.7 eV per cell
* density: 5.519 g/cm3
* formation enthalpy at 0 K: -247 kJ per mole of atoms

VASP calculation (PBE with a Hubbard U) on BaMn2O8 after structural relaxation.

Cell and atoms, written as CIF:
```
data_BaMn2O8
_cell_length_a 7.486
_cell_length_b 12.173
_cell_length_c 15.139
_cell_angle_alpha 90.00
_cell_angle_beta 90.00
_cell_angle_gamma 90.00
_symmetry_space_group_name_H-M 'F d d d'
_symmetry_Int_Tables_number 70
loop_
_symmetry_equiv_pos_as_xyz
'x,y,z'
'-x,-y,-z'
'-x+1/4,-y+1/4,z'
'x+1/4,y+1/4,-z'
'x,-y+1/4,-z+1/4'
'-x,y+1/4,z+1/4'
'-x+1/4,y,-z+1/4'
'x+1/4,-y,z+1/4'
'x,y+1/2,z+1/2'
'-x,-y+1/2,-z+1/2'
'-x+1/4,-y+3/4,z+1/2'
'x+1/4,y+3/4,-z+1/2'
'x,-y+3/4,-z+3/4'
'-x,y+3/4,z+3/4'
'-x+1/4,y+1/2,-z+3/4'
'x+1/4,-y+1/2,z+3/4'
'x+1/2,y,z+1/2'
'-x+1/2,-y,-z+1/2'
'-x+3/4,-y+1/4,z+1/2'
'x+3/4,y+1/4,-z+1/2'
'x+1/2,-y+1/4,-z+3/4'
'-x+1/2,y+1/4,z+3/4'
'-x+3/4,y,-z+3/4'
'x+3/4,-y,z+3/4'
'x+1/2,y+1/2,z'
'-x+1/2,-y+1/2,-z'
'-x+3/4,-y+3/4,z'
'x+3/4,y+3/4,-z'
'x+1/2,-y+3/4,-z+1/4'
'-x+1/2,y+3/4,z+1/4'
'-x+3/4,y+1/2,-z+1/4'
'x+3/4,-y+1/2,z+1/4'
loop_
_atom_site_label
_atom_site_fract_x
_atom_site_fract_y
_atom_site_fract_z
Ba1 0.125 0.125 0.125
Mn1 0.125 0.323 0.625
O1 0.043 0.253 0.850
O2 0.075 0.348 0.208
```

Output
* energy above the most stable polymorph in this dataset: 0.00 eV/f.u.
* MP2020-corrected energy: -615.5 eV per cell
* density: 3.613 g/cm3
* formation enthalpy at 0 K: -150 kJ per mole of atoms

VASP calculation (PBE with a Hubbard U) on Ba2MnO4 after structural relaxation.

Cell and atoms, written as CIF:
```
data_Ba2MnO4
_cell_length_a 4.059
_cell_length_b 4.059
_cell_length_c 13.301
_cell_angle_alpha 90.00
_cell_angle_beta 90.00
_cell_angle_gamma 90.00
_symmetry_space_group_name_H-M 'I 4/m m m'
_symmetry_Int_Tables_number 139
_symmetry_space_group_name_Hall '-I 4 2'
loop_
_atom_site_label
_atom_site_fract_x
_atom_site_fract_y
_atom_site_fract_z
Ba1 0.000 0.000 0.142
Mn1 0.000 0.000 0.500
O1 0.000 0.000 0.352
O2 0.000 0.500 0.000
```

Output
* MP2020-corrected energy: -101.7 eV per cell
* density: 5.964 g/cm3
* formation enthalpy at 0 K: -249 kJ per mole of atoms

VASP calculation (PBE with a Hubbard U) on BaMn3O6 after structural relaxation.

Cell and atoms, written as CIF:
```
data_BaMn3O6
_cell_length_a 21.261
_cell_length_b 4.056
_cell_length_c 5.783
_cell_angle_alpha 90.00
_cell_angle_beta 98.02
_cell_angle_gamma 90.00
_symmetry_space_group_name_H-M 'C 1 2/m 1'
_symmetry_Int_Tables_number 12
loop_
_symmetry_equiv_pos_as_xyz
'x,y,z'
'-x,-y,-z'
'-x,y,-z'
'x,-y,z'
'x+1/2,y+1/2,z'
'-x+1/2,-y+1/2,-z'
'-x+1/2,y+1/2,-z'
'x+1/2,-y+1/2,z'
loop_
_atom_site_label
_atom_site_fract_x
_atom_site_fract_y
_atom_site_fract_z
Ba1 0.068 0.000 0.284
Mn1 0.063 0.500 0.782
Mn2 0.206 0.500 0.352
Mn3 0.206 0.500 0.853
O1 0.000 0.500 0.000
O2 0.000 0.500 0.500
O3 0.064 0.000 0.781
O4 0.144 0.500 0.065
O5 0.145 0.500 0.575
O6 0.227 0.000 0.361
O7 0.229 0.000 0.865
```

Output
* MP2020-corrected energy: -324.2 eV per cell
* density: 5.355 g/cm3
* formation enthalpy at 0 K: -212 kJ per mole of atoms

VASP calculation (PBE with a Hubbard U) on Ba8Mn8O23 after structural relaxation.

Cell and atoms, written as CIF:
```
data_Ba8Mn8O23
_cell_length_a 19.415
_cell_length_b 5.766
_cell_length_c 10.062
_cell_angle_alpha 90.00
_cell_angle_beta 90.00
_cell_angle_gamma 90.00
_symmetry_space_group_name_H-M 'A m m 2'
_symmetry_Int_Tables_number 38
loop_
_symmetry_equiv_pos_as_xyz
'x,y,z'
'-x,-y,z'
'-x,y,z'
'x,-y,z'
'x,y+1/2,z+1/2'
'-x,-y+1/2,z+1/2'
'-x,y+1/2,z+1/2'
'x,-y+1/2,z+1/2'
loop_
_atom_site_label
_atom_site_fract_x
_atom_site_fract_y
_atom_site_fract_z
Ba1 0.000 0.000 0.000
Ba2 0.123 0.000 0.667
Ba3 0.245 0.000 0.002
Ba4 0.363 0.000 0.665
Ba5 0.500 0.000 0.338
Mn1 0.064 0.000 0.334
Mn2 0.193 0.000 0.337
Mn3 0.325 0.000 0.336
Mn4 0.428 0.000 0.008
O1 0.000 0.000 0.482
O2 0.000 0.224 0.259
O3 0.127 0.224 0.408
O4 0.128 0.000 0.187
O5 0.254 0.000 0.487
O6 0.256 0.222 0.264
O7 0.375 0.000 0.176
O8 0.379 0.247 0.912
O9 0.500 0.218 0.058
```

Output
* MP2020-corrected energy: -598.7 eV per cell
* density: 5.620 g/cm3
* formation enthalpy at 0 K: -240 kJ per mole of atoms

VASP calculation (PBE with a Hubbard U) on Ba4Mn3O10 after structural relaxation.

Cell and atoms, written as CIF:
```
data_Ba4Mn3O10
_cell_length_a 5.782
_cell_length_b 13.284
_cell_length_c 13.083
_cell_angle_alpha 90.00
_cell_angle_beta 90.00
_cell_angle_gamma 90.00
_symmetry_space_group_name_H-M 'C m c e'
_symmetry_Int_Tables_number 64
_symmetry_space_group_name_Hall '-C 2ac 2'
loop_
_atom_site_label
_atom_site_fract_x
_atom_site_fract_y
_atom_site_fract_z
Ba1 0.000 0.037 0.142
Ba2 0.000 0.243 0.388
Mn1 0.000 0.000 0.500
Mn2 0.000 0.126 0.653
O1 0.000 0.034 0.356
O2 0.000 0.236 0.150
O3 0.219 0.104 0.539
O4 0.250 0.114 0.750
```

Output
* MP2020-corrected energy: -511.7 eV per cell
* density: 5.778 g/cm3
* formation enthalpy at 0 K: -246 kJ per mole of atoms

VASP calculation (PBE with a Hubbard U) on BaMn4O8 after structural relaxation.

Cell and atoms, written as CIF:
```
data_BaMn4O8
_cell_length_a 9.780
_cell_length_b 9.780
_cell_length_c 3.164
_cell_angle_alpha 90.00
_cell_angle_beta 90.00
_cell_angle_gamma 90.00
_symmetry_space_group_name_H-M 'I 4/m'
_symmetry_Int_Tables_number 87
_symmetry_space_group_name_Hall '-I 4'
loop_
_atom_site_label
_atom_site_fract_x
_atom_site_fract_y
_atom_site_fract_z
Ba1 0.000 0.000 0.000
Mn1 0.151 0.664 0.000
O1 0.042 0.330 0.000
O2 0.151 0.806 0.500
```

Output
* energy above the most stable polymorph in this dataset: 0.42 eV/f.u.
* MP2020-corrected energy: -211.1 eV per cell
* density: 5.323 g/cm3
* formation enthalpy at 0 K: -203 kJ per mole of atoms

VASP calculation (PBE with a Hubbard U) on BaMn2O8 after structural relaxation.

Cell and atoms, written as CIF:
```
data_BaMn2O8
_cell_length_a 8.547
_cell_length_b 11.667
_cell_length_c 16.034
_cell_angle_alpha 90.00
_cell_angle_beta 90.00
_cell_angle_gamma 90.00
_symmetry_space_group_name_H-M 'F d d d'
_symmetry_Int_Tables_number 70
loop_
_symmetry_equiv_pos_as_xyz
'x,y,z'
'-x,-y,-z'
'-x+1/4,-y+1/4,z'
'x+1/4,y+1/4,-z'
'x,-y+1/4,-z+1/4'
'-x,y+1/4,z+1/4'
'-x+1/4,y,-z+1/4'
'x+1/4,-y,z+1/4'
'x,y+1/2,z+1/2'
'-x,-y+1/2,-z+1/2'
'-x+1/4,-y+3/4,z+1/2'
'x+1/4,y+3/4,-z+1/2'
'x,-y+3/4,-z+3/4'
'-x,y+3/4,z+3/4'
'-x+1/4,y+1/2,-z+3/4'
'x+1/4,-y+1/2,z+3/4'
'x+1/2,y,z+1/2'
'-x+1/2,-y,-z+1/2'
'-x+3/4,-y+1/4,z+1/2'
'x+3/4,y+1/4,-z+1/2'
'x+1/2,-y+1/4,-z+3/4'
'-x+1/2,y+1/4,z+3/4'
'-x+3/4,y,-z+3/4'
'x+3/4,-y,z+3/4'
'x+1/2,y+1/2,z'
'-x+1/2,-y+1/2,-z'
'-x+3/4,-y+3/4,z'
'x+3/4,y+3/4,-z'
'x+1/2,-y+3/4,-z+1/4'
'-x+1/2,y+3/4,z+1/4'
'-x+3/4,y+1/2,-z+1/4'
'x+3/4,-y+1/2,z+1/4'
loop_
_atom_site_label
_atom_site_fract_x
_atom_site_fract_y
_atom_site_fract_z
Ba1 0.125 0.125 0.125
Mn1 0.125 0.125 0.353
O1 0.027 0.357 0.207
O2 0.108 0.012 0.410
```

Output
* energy above the most stable polymorph in this dataset: 0.42 eV/f.u.
* MP2020-corrected energy: -612.2 eV per cell
* density: 3.117 g/cm3
* formation enthalpy at 0 K: -146 kJ per mole of atoms

VASP calculation (PBE with a Hubbard U) on Ba2MnP2O8 after structural relaxation.

Cell and atoms, written as CIF:
```
data_Ba2MnP2O8
_cell_length_a 5.413
_cell_length_b 9.117
_cell_length_c 17.281
_cell_angle_alpha 90.00
_cell_angle_beta 107.90
_cell_angle_gamma 90.00
_symmetry_space_group_name_H-M 'P 1 21/c 1'
_symmetry_Int_Tables_number 14
loop_
_symmetry_equiv_pos_as_xyz
'x,y,z'
'-x,-y,-z'
'-x,y+1/2,-z+1/2'
'x,-y+1/2,z+1/2'
loop_
_atom_site_label
_atom_site_fract_x
_atom_site_fract_y
_atom_site_fract_z
Ba1 0.031 0.157 0.270
Ba2 0.183 0.702 0.979
Mn1 0.404 0.018 0.136
P1 0.182 0.095 0.922
P2 0.422 0.104 0.663
O1 0.100 0.648 0.623
O2 0.220 0.560 0.389
O3 0.224 0.098 0.014
O4 0.253 0.032 0.582
O5 0.288 0.612 0.834
O6 0.311 0.239 0.170
O7 0.378 0.199 0.899
O8 0.399 0.011 0.736
```

Output
* MP2020-corrected energy: -413.0 eV per cell
* density: 4.252 g/cm3
* formation enthalpy at 0 K: -296 kJ per mole of atoms

VASP calculation (PBE with a Hubbard U) on BaMnP2O7 after structural relaxation.

Cell and atoms, written as CIF:
```
data_BaMnP2O7
_cell_length_a 5.573
_cell_length_b 7.261
_cell_length_c 7.688
_cell_angle_alpha 101.58
_cell_angle_beta 90.11
_cell_angle_gamma 93.87
_symmetry_space_group_name_H-M 'P -1'
_symmetry_Int_Tables_number 2
loop_
_symmetry_equiv_pos_as_xyz
'x,y,z'
'-x,-y,-z'
loop_
_atom_site_label
_atom_site_fract_x
_atom_site_fract_y
_atom_site_fract_z
Ba1 0.224 0.272 0.433
Mn1 0.201 0.132 0.895
P1 0.288 0.770 0.296
P2 0.293 0.679 0.906
O1 0.067 0.892 0.309
O2 0.109 0.832 0.901
O3 0.233 0.496 0.778
O4 0.268 0.629 0.104
O5 0.276 0.649 0.437
O6 0.448 0.234 0.105
O7 0.475 0.108 0.695
```

Output
* energy above the most stable polymorph in this dataset: 0.10 eV/f.u.
* MP2020-corrected energy: -177.1 eV per cell
* density: 4.000 g/cm3
* formation enthalpy at 0 K: -281 kJ per mole of atoms

VASP calculation (PBE with a Hubbard U) on BaMnP2O7 after structural relaxation.

Cell and atoms, written as CIF:
```
data_BaMnP2O7
_cell_length_a 5.645
_cell_length_b 8.697
_cell_length_c 14.278
_cell_angle_alpha 90.00
_cell_angle_beta 112.91
_cell_angle_gamma 90.00
_symmetry_space_group_name_H-M 'P 1 21/c 1'
_symmetry_Int_Tables_number 14
loop_
_symmetry_equiv_pos_as_xyz
'x,y,z'
'-x,-y,-z'
'-x,y+1/2,-z+1/2'
'x,-y+1/2,z+1/2'
loop_
_atom_site_label
_atom_site_fract_x
_atom_site_fract_y
_atom_site_fract_z
Ba1 0.062 0.145 0.281
Mn1 0.424 0.159 0.607
P1 0.209 0.695 0.019
P2 0.416 0.549 0.664
O1 0.059 0.169 0.480
O2 0.217 0.684 0.913
O3 0.288 0.627 0.552
O4 0.295 0.077 0.795
O5 0.295 0.625 0.733
O6 0.341 0.121 0.149
O7 0.414 0.592 0.097
```

Output
* energy above the most stable polymorph in this dataset: 0.00 eV/f.u.
* MP2020-corrected energy: -354.5 eV per cell
* density: 3.767 g/cm3
* formation enthalpy at 0 K: -281 kJ per mole of atoms